1.
Density functional theory data (GGA+U) for a relaxed MgV6O5F19 crystal.

abc: 5.3435 5.3959 15.5699
angles: 80.32 89.40 89.24
With the nearest neighbours (Å) after each atom.
Atoms (fractional coordinates):
Mg 0.0000 0.0000 0.0000  5 F 1.90-2.06
V 0.2473 0.4868 0.4820  4 F 1.76-1.96
V 0.3127 0.1486 0.1631  2 O 1.70-1.71, 1 F 1.76
V 0.3193 0.8348 0.8111  2 O 1.69-1.71, 1 F 1.76
V 0.7294 0.9566 0.4861  1 O 1.64, 2 F 1.77
V 0.7559 0.6443 0.1617  3 F 1.75-1.93, 1 O 1.89
V 0.7582 0.3453 0.8046  4 F 1.76-1.95, 1 O 1.93
O 0.4761 0.8732 0.1758  1 V 1.70
O 0.4813 0.5562 0.8299  1 V 1.71
O 0.5385 0.3704 0.1651  2 V 1.71-1.89
O 0.5394 0.0469 0.8244  1 V 1.69
O 0.5533 0.7055 0.5039  1 V 1.64
F 0.0371 0.7985 0.4578  2 V 1.92-1.99
F 0.0382 0.4475 0.1330  1 V 1.93
F 0.0426 0.1287 0.7951  2 V 1.92-2.14
F 0.1770 0.1262 0.2676  1 V 1.76
F 0.1842 0.8046 0.9286  1 Mg 1.91, 1 V 1.94
F 0.1868 0.4736 0.5941  1 V 1.76
F 0.2901 0.1824 0.0395  1 V 1.91, 1 Mg 2.00
F 0.3081 0.8801 0.6963  1 V 1.76
F 0.3526 0.5466 0.3723  1 V 1.77
F 0.4653 0.1881 0.5078  2 V 1.94-1.96
F 0.6833 0.0637 0.3732  1 V 1.77
F 0.6933 0.3895 0.6927  1 V 1.76
F 0.7271 0.7498 0.0392  1 V 1.90, 1 Mg 2.02
F 0.8189 0.2638 0.9297  1 Mg 1.90, 1 V 1.95
F 0.8449 0.6170 0.2705  1 V 1.75
F 0.8449 0.9688 0.5911  1 V 1.77
F 0.9708 0.3019 0.4605  1 V 1.86
F 0.9761 0.6207 0.8014  1 V 1.89
F 0.9793 0.9529 0.1341  2 V 2.05-2.17, 1 Mg 2.06

Results
The calculation puts the energy at -5.933 eV per atom. The distance to the lowest polymorph of the same formula comes out at 0.03 eV/f.u. The calculation puts the formation energy at -2875 meV per atom. The space group is P1, No. 1. Its magnetization is 3.0 μB/f.u.



2.
Density functional theory data (GGA+U) for a relaxed MgV4O8F4 crystal.

abc: 4.8979 3.6060 13.8204
angles: 90.00 91.05 90.00
With the nearest neighbours (Å) after each atom.
Atoms (fractional coordinates):
Mg 0.0000 0.0000 0.0000  1 F 1.89, 1 O 2.08
V 0.2239 0.0000 0.7401  1 O 1.62, 1 F 1.77
V 0.4466 0.5000 0.9069  1 O 1.70
V 0.7226 0.5000 0.4163  1 O 1.60, 1 F 1.77
V 0.9266 0.0000 0.2543  1 O 1.62
O 0.2533 0.0000 0.2394  1 V 1.62
O 0.3003 0.0000 0.8956  3 V 1.95-2.17, 1 Mg 2.08
O 0.3454 0.5000 0.7725  3 V 1.91-1.95
O 0.3961 0.5000 0.4209  1 V 1.60
O 0.7843 0.5000 0.9386  1 V 1.70
O 0.8090 0.5000 0.2732  3 V 1.91-2.03
O 0.8317 0.0000 0.3930  3 V 1.91-1.98
O 0.8943 0.0000 0.7476  1 V 1.62
F 0.2378 0.5000 0.0279  1 V 1.98, 2 Mg 2.18
F 0.3279 0.0000 0.6183  1 V 1.77
F 0.8061 0.0000 0.1174  1 Mg 1.89, 1 V 1.97
F 0.8429 0.5000 0.5380  1 V 1.77

Results
The calculation puts the energy at -6.779 eV per atom. The distance to the lowest polymorph of the same formula comes out at 0.77 eV/f.u. The calculation puts the formation energy at -2601 meV per atom. The space group is Pm, No. 6. Its magnetization is 0.9 μB/f.u.



3.
Density functional theory data (GGA+U) for a relaxed MgV6O5F19 crystal.

abc: 5.3505 5.4276 15.5925
angles: 80.40 89.86 88.27
With the nearest neighbours (Å) after each atom.
Atoms (fractional coordinates):
Mg 0.0000 0.0000 0.0000  4 F 1.89-1.99
V 0.2493 0.8501 0.8035  4 F 1.74-1.95, 1 O 1.90
V 0.2681 0.1696 0.1643  4 F 1.75-1.90
V 0.2922 0.5541 0.4912  1 O 1.61, 2 F 1.77
V 0.7638 0.3276 0.8021  1 O 1.74, 1 F 1.79
V 0.8011 0.0523 0.4793  1 O 1.61, 2 F 1.77
V 0.8174 0.6600 0.1604  2 O 1.70-1.72, 1 F 1.76
O 0.0252 0.2425 0.4536  1 V 1.61
O 0.0480 0.8777 0.1455  1 V 1.72
O 0.4565 0.7767 0.5157  1 V 1.61
O 0.9724 0.3937 0.1450  1 V 1.70
O 0.9795 0.0892 0.7918  2 V 1.74-1.90
F 0.0212 0.5895 0.7924  2 V 1.93-2.00
F 0.1531 0.4261 0.5913  1 V 1.77
F 0.1814 0.8031 0.9270  1 Mg 1.93, 1 V 1.93
F 0.2033 0.1067 0.2755  1 V 1.75
F 0.2733 0.1926 0.0412  1 V 1.90, 1 Mg 1.99
F 0.3351 0.8949 0.6941  1 V 1.74
F 0.3423 0.5688 0.3779  1 V 1.77
F 0.4693 0.4538 0.1587  1 V 1.90
F 0.4751 0.1054 0.8270  2 V 1.95-1.99
F 0.5192 0.5995 0.8354  2 V 1.96-2.07
F 0.5476 0.2875 0.5102  2 V 1.95
F 0.5555 0.9539 0.1719  2 V 1.90-2.12
F 0.6473 0.0541 0.3785  1 V 1.77
F 0.6538 0.4359 0.6935  1 V 1.79
F 0.7263 0.7676 0.0406  1 V 1.92, 1 Mg 1.99
F 0.7889 0.6012 0.2743  1 V 1.76
F 0.8234 0.2673 0.9303  1 Mg 1.89, 1 V 2.00
F 0.8450 0.9459 0.5919  1 V 1.77
F 0.9805 0.7480 0.4597  2 V 1.95-1.96

Results
The calculation puts the energy at -5.915 eV per atom. The distance to the lowest polymorph of the same formula comes out at 0.61 eV/f.u. The calculation puts the formation energy at -2856 meV per atom. The space group is P1, No. 1. Its magnetization is 3.0 μB/f.u.



4.
Density functional theory data (GGA+U) for a relaxed MgV8O8F8 crystal.

abc: 4.8588 5.6650 10.7974
angles: 96.76 91.75 90.91
With the nearest neighbours (Å) after each atom.
Atoms (fractional coordinates):
Mg 0.0000 0.0000 0.0000  2 O 1.91, 2 F 2.08-2.09
V 0.0237 0.8720 0.6108  3 O 1.99-2.04, 2 F 2.02-2.06
V 0.0599 0.5795 0.8383  3 O 1.90-2.01, 1 F 2.09
V 0.4599 0.6235 0.3685  3 O 1.92-2.07, 2 F 2.07-2.09
V 0.4815 0.8716 0.1242  3 O 2.11-2.20, 3 F 2.13-2.19
V 0.5177 0.1267 0.8760  3 O 2.11-2.20, 3 F 2.12-2.19
V 0.5375 0.3727 0.6316  3 O 1.92-2.07, 2 F 2.07-2.09
V 0.9369 0.4197 0.1625  3 O 1.90-2.01, 1 F 2.10
V 0.9744 0.1243 0.3893  3 O 1.99-2.04, 2 F 2.01-2.05
O 0.1949 0.8614 0.4452  3 V 1.99-2.00
O 0.2102 0.5924 0.6787  3 V 1.90-2.07
O 0.2881 0.5924 0.2051  3 V 1.92-2.12
O 0.3077 0.8197 0.9413  1 Mg 1.91, 2 V 2.01-2.11
O 0.6917 0.1791 0.0589  1 Mg 1.91, 2 V 2.01-2.11
O 0.7094 0.4060 0.7949  3 V 1.92-2.11
O 0.7866 0.4036 0.3218  3 V 1.90-2.07
O 0.8027 0.1343 0.5548  3 V 1.99-2.01
F 0.1452 0.0957 0.1966  3 V 2.17-2.25, 1 Mg 2.22
F 0.1695 0.3112 0.9472  1 Mg 2.08, 2 V 2.09-2.12
F 0.3001 0.3448 0.4541  3 V 2.05-2.19
F 0.3176 0.0942 0.6960  3 V 2.02-2.13
F 0.6826 0.9006 0.3039  3 V 2.01-2.13
F 0.6967 0.6513 0.5458  3 V 2.06-2.19
F 0.8305 0.6873 0.0520  1 Mg 2.09, 2 V 2.10-2.13
F 0.8544 0.9045 0.8039  3 V 2.17-2.25, 1 Mg 2.21

Results
The calculation puts the energy at -6.948 eV per atom. The distance to the lowest polymorph of the same formula comes out at 0.42 eV/f.u. The calculation puts the formation energy at -2693 meV per atom. The space group is P1, No. 1. Its magnetization is 18.0 μB/f.u.



5.
Density functional theory data (GGA+U) for a relaxed MgV8O8F8 crystal.

abc: 4.9182 5.7278 10.4962
angles: 96.01 91.06 92.83
With the nearest neighbours (Å) after each atom.
Atoms (fractional coordinates):
Mg 0.0000 0.0000 0.0000  3 O 1.91-2.00, 2 F 1.97-2.12
V 0.0155 0.1291 0.3434  3 O 1.99-2.06, 3 F 2.10-2.15
V 0.4772 0.1131 0.8330  3 O 2.02-2.14, 3 F 2.17-2.23
V 0.4902 0.3645 0.6003  4 O 1.98-2.07, 2 F 2.17-2.18
V 0.4947 0.8829 0.1132  4 O 1.97-2.12, 2 F 2.03-2.14
V 0.5159 0.6378 0.3730  3 O 1.91-2.05, 3 F 2.08-2.12
V 0.9708 0.5949 0.8495  2 O 1.89-2.05, 2 F 2.09-2.10
V 0.9787 0.4319 0.1178  4 F 2.02-2.22, 1 O 2.10
V 0.9983 0.8721 0.6000  2 O 1.90-1.97, 3 F 2.08-2.11
O 0.1722 0.1004 0.1696  1 Mg 1.97, 2 V 1.99-2.12
O 0.2898 0.0890 0.6591  3 V 1.90-2.02
O 0.3014 0.3570 0.4243  3 V 1.99-2.05
O 0.3018 0.8346 0.9306  1 Mg 1.91, 2 V 2.11-2.14
O 0.6830 0.4001 0.7689  3 V 1.89-2.07
O 0.6874 0.9060 0.2811  3 V 1.97-2.06
O 0.6904 0.6557 0.5381  3 V 1.91-2.07
O 0.8038 0.6942 0.0232  1 Mg 2.00, 3 V 2.05-2.10
F 0.1460 0.3132 0.9280  3 V 2.10-2.23, 1 Mg 2.12
F 0.1830 0.5933 0.6787  3 V 2.09-2.17
F 0.1827 0.8460 0.4231  3 V 2.08-2.12
F 0.3278 0.5999 0.1904  3 V 2.02-2.10
F 0.6693 0.1776 0.0285  1 Mg 1.97, 2 V 2.14-2.18
F 0.8031 0.4155 0.2931  3 V 2.06-2.10
F 0.8085 0.1442 0.5221  3 V 2.09-2.18
F 0.8288 0.9088 0.7880  3 V 2.12-2.17, 1 Mg 2.36

Results
The calculation puts the energy at -6.952 eV per atom. The distance to the lowest polymorph of the same formula comes out at 0.32 eV/f.u. The calculation puts the formation energy at -2697 meV per atom. The space group is P1, No. 1. Its magnetization is 18.0 μB/f.u.



6.
Density functional theory data (GGA+U) for a relaxed MgV2O2F6 crystal.

abc: 4.6703 4.7970 7.3232
angles: 107.29 108.55 90.01
With the nearest neighbours (Å) after each atom.
Atoms (fractional coordinates):
Mg 0.0000 0.0000 0.0000  4 F 1.91-1.92
V 0.2840 0.7754 0.6077  1 O 1.69
V 0.6765 0.2272 0.3922  1 O 1.69
O 0.0397 0.5014 0.5906  1 V 1.69
O 0.4492 0.5014 0.4092  1 V 1.69
F 0.1870 0.0798 0.8202  1 Mg 1.92, 1 V 1.96
F 0.3675 0.9223 0.1799  1 Mg 1.92, 1 V 1.96
F 0.5676 0.0877 0.5938  2 V 1.99-2.05
F 0.6427 0.7414 0.8250  1 Mg 1.91, 1 V 1.96
F 0.8181 0.2603 0.1746  1 Mg 1.91, 1 V 1.95
F 0.9740 0.9150 0.4061  2 V 1.99-2.05

Results
The calculation puts the energy at -6.104 eV per atom. The distance to the lowest polymorph of the same formula comes out at 0.41 eV/f.u. The calculation puts the formation energy at -3049 meV per atom. The space group is P1, No. 1. Its magnetization is 2.0 μB/f.u.



distance to the lowest polymorph of the same formula of number 4 (MgV8O8F8)?
0.42 eV/f.u.



What is the energy in the fifth record?
-6.952 eV per atom



Which formula does entry 4 have?
MgV8O8F8